# SmZnRh

A relaxed SmZnRh crystal (meta-GGA r2SCAN, the Materials Project database).

Calculated values
Magnetization ... 0.00 μB/f.u.
Energy ... -21.651 eV/atom
Calculated formation energy ... -0.725 eV/atom
Volume ... 19.342 Å³ per atom

a b c (Å): 4.0560 7.0167 8.1554
angles (deg): 90.00 90.00 90.00
Atoms (fractional coordinates):
Rh 0.2500 0.2583 0.3785
Zn 0.7500 0.3644 0.5625
Rh 0.7500 0.7417 0.6215
Zn 0.7500 0.8644 0.9375
Sm 0.2500 0.0385 0.6859
Rh 0.7500 0.2417 0.8785
Sm 0.2500 0.5385 0.8141
Sm 0.7500 0.9615 0.3141
Rh 0.2500 0.7583 0.1215
Sm 0.7500 0.4615 0.1859
Zn 0.2500 0.6356 0.4375
Zn 0.2500 0.1356 0.0625